First-principles (PBE) data for a relaxed K3UC5O17 crystal, as listed in Materials Project.

```
K3UC5O17
1.0
10.0103 0.0000 0.0000
-4.3450 9.1774 0.0000
-2.6922 -2.5837 9.6915
C U O K
10 2 34 6
direct
0.7923 0.1403 0.9410 C
0.8260 0.8893 0.4995 C
0.1847 0.9545 0.4522 C
0.1740 0.1107 0.5005 C
0.4481 0.4164 0.9546 C
0.8153 0.0455 0.5478 C
0.2077 0.8597 0.0590 C
0.6947 0.9789 0.8399 C
0.5519 0.5836 0.0454 C
0.3053 0.0211 0.1601 C
0.4725 0.1376 0.7586 U
0.5275 0.8624 0.2414 U
0.3090 0.3450 0.9471 O
0.3514 0.0392 0.8553 O
0.7097 0.0520 0.4525 O
0.9294 0.1831 0.0177 O
0.4380 0.0436 0.2453 O
0.7491 0.8900 0.8454 O
0.5620 0.9564 0.7547 O
0.4790 0.6327 0.1073 O
0.7342 0.8154 0.3776 O
0.0276 0.3669 0.4097 O
0.5889 0.5836 0.6635 O
0.0809 0.1336 0.4139 O
0.4487 0.5306 0.6507 O
0.2509 0.1100 0.1546 O
0.6910 0.6550 0.0529 O
0.5940 0.2456 0.6640 O
0.6486 0.9608 0.1447 O
0.1742 0.5568 0.7664 O
0.2903 0.9480 0.5475 O
0.9504 0.5215 0.2158 O
0.2658 0.1846 0.6224 O
0.0706 0.8169 0.9823 O
0.0496 0.4785 0.7842 O
0.9724 0.6331 0.5903 O
0.4060 0.7544 0.3360 O
0.4111 0.4164 0.3365 O
0.9191 0.8664 0.5861 O
0.9013 0.1331 0.6613 O
0.8258 0.4432 0.2336 O
0.7200 0.2198 0.9323 O
0.5210 0.3673 0.8927 O
0.0987 0.8669 0.3387 O
0.5513 0.4694 0.3493 O
0.2800 0.7802 0.0677 O
0.1811 0.4557 0.1008 K
0.9260 0.9511 0.1435 K
0.7435 0.3291 0.4739 K
0.0740 0.0489 0.8565 K
0.2565 0.6709 0.5261 K
0.8189 0.5443 0.8992 K
```

Values from the calculation:
As for the spin magnetization: 6.00 μB/f.u. The value obtained for the formation energy is -1.4141 eV/atom. Its crystal system is triclinic.

First-principles (PBE) data for a relaxed BaSi2 crystal, as listed in Materials Project.

```
BaSi2
1.0
2.0932 -3.6256 0.0000
2.0932 3.6256 0.0000
0.0000 0.0000 5.0503
Ba Si
1 2
direct
0.0000 0.0000 0.0000 Ba
0.3333 0.6667 0.5000 Si
0.6667 0.3333 0.5000 Si
```

Values from the calculation:
The value obtained for the formation energy is -0.2769 eV/atom. Its crystal system is hexagonal.

First-principles (PBE) data for a relaxed Li2MgSi crystal, as listed in Materials Project.

```
Li2MgSi
1.0
-4.6743 1.8809 -3.8931
-1.0050 -6.0489 -1.7159
-4.2053 -0.6452 4.7374
Li Si Mg
8 4 4
direct
0.7280 0.2720 0.2720 Li
0.5000 0.0000 0.5000 Li
0.0000 0.5000 0.5000 Li
0.5000 0.5000 0.0000 Li
0.7280 0.7280 0.7280 Li
0.5000 0.5000 0.5000 Li
0.2720 0.7280 0.2720 Li
0.2720 0.2720 0.7280 Li
0.2525 0.7475 0.7475 Si
0.7475 0.2525 0.7475 Si
0.2525 0.2525 0.2525 Si
0.7475 0.7475 0.2525 Si
0.0000 0.0000 0.0000 Mg
0.0000 0.5000 0.0000 Mg
0.0000 0.0000 0.5000 Mg
0.5000 0.0000 0.0000 Mg
```

Values from the calculation:
The value obtained for the formation energy is -0.2281 eV/atom. Its crystal system is cubic.

First-principles (PBE) data for a relaxed NbSe2Br2 crystal, as listed in Materials Project.

```
NbSe2Br2
1.0
1.1964 5.9598 3.0581
6.3797 1.7667 1.6315
1.2345 5.4460 -5.1721
Br Se Nb
4 4 2
direct
0.5687 0.4172 0.7830 Br
0.4313 0.5828 0.2170 Br
0.9859 0.5828 0.7830 Br
0.0141 0.4172 0.2170 Br
0.1314 0.0000 0.6919 Se
0.6602 0.0000 0.1253 Se
0.3398 0.0000 0.8747 Se
0.8686 0.0000 0.3080 Se
0.1263 0.7475 0.0000 Nb
0.8737 0.2525 0.0000 Nb
```

Values from the calculation:
The value obtained for the formation energy is -0.9724 eV/atom. Its crystal system is monoclinic.

First-principles (PBE) data for a relaxed Hg11I2BrClO4 crystal, as listed in Materials Project.

```
Hg11I2BrClO4
1.0
6.6623 0.0000 0.0000
-0.3104 7.2117 0.0000
-0.6052 -1.8768 10.6123
Hg O Cl I Br
11 4 1 2 1
direct
0.8655 0.8547 0.9855 Hg
0.0529 0.1311 0.6542 Hg
0.4992 0.9992 0.4987 Hg
0.3272 0.5417 0.8803 Hg
0.1562 0.6325 0.1982 Hg
0.2747 0.7009 0.6801 Hg
0.9477 0.8702 0.3444 Hg
0.1315 0.1472 0.0178 Hg
0.6719 0.4607 0.1204 Hg
0.7231 0.2965 0.3181 Hg
0.8487 0.3738 0.8010 Hg
0.2865 0.4276 0.0575 O
0.7134 0.5748 0.9437 O
0.2212 0.9029 0.5493 O
0.7775 0.0955 0.4490 O
0.5109 0.8783 0.1598 Cl
0.2381 0.3420 0.4069 I
0.7623 0.6576 0.5935 I
0.4915 0.1127 0.8416 Br
```

Values from the calculation:
As for the spin magnetization: 0.00 μB/f.u. The value obtained for the formation energy is -0.4346 eV/atom. Its crystal system is triclinic.

First-principles (PBE) data for a relaxed La4MgTi4O10 crystal, as listed in Materials Project.

```
La4MgTi4O10
1.0
-0.0019 0.0026 5.5320
5.7207 -0.0612 -0.0019
-2.9536 8.3902 -2.7607
O Ti La Mg
10 4 4 1
direct
0.4899 0.0002 0.5018 O
0.9852 0.0031 0.4980 O
0.1204 0.1849 0.2552 O
0.2269 0.2346 0.9713 O
0.7535 0.7638 0.0260 O
0.6168 0.5687 0.2547 O
0.2540 0.7631 0.0248 O
0.3623 0.4295 0.7433 O
0.8610 0.8096 0.7433 O
0.7263 0.2355 0.9720 O
0.4906 0.5004 0.9998 Ti
0.2389 0.2786 0.4968 Ti
0.7417 0.7236 0.5025 Ti
0.9917 0.0009 0.0016 Ti
0.6071 0.1353 0.2350 La
0.8221 0.3319 0.6642 La
0.1593 0.6699 0.3404 La
0.3759 0.8658 0.7665 La
0.9925 0.5007 0.0029 Mg
```

Values from the calculation:
As for the spin magnetization: 1.69 μB/f.u. The value obtained for the formation energy is -2.9140 eV/atom. Its crystal system is triclinic.

Looking at theoretical density for the records above, in order, we have 2.56; 4.19; 1.71; 4.76; 8.60; 5.85 g/cm3.